Computed, not measured: a relaxed structure of SiO2 at the r²SCAN level of DFT.

Lattice parameters (Å, degrees): 13.6293 13.6293 7.6369 90.00 90.00 90.00
Positions (direct):
Si  0.0253  0.6351  0.1457
Si  0.0253  0.8649  0.1457
Si  0.1351  0.5253  0.8543
Si  0.1351  0.9747  0.8543
Si  0.1369  0.6369  0.5000
Si  0.1369  0.8631  0.5000
Si  0.3631  0.6369  0.5000
Si  0.3631  0.8631  0.5000
Si  0.3649  0.5253  0.8543
Si  0.3649  0.9747  0.8543
Si  0.4747  0.6351  0.1457
Si  0.4747  0.8649  0.1457
Si  0.5253  0.1351  0.8543
Si  0.5253  0.3649  0.8543
Si  0.6351  0.0253  0.1457
Si  0.6351  0.4747  0.1457
Si  0.6369  0.1369  0.5000
Si  0.6369  0.3631  0.5000
Si  0.8631  0.1369  0.5000
Si  0.8631  0.3631  0.5000
Si  0.8649  0.0253  0.1457
Si  0.8649  0.4747  0.1457
Si  0.9747  0.1351  0.8543
Si  0.9747  0.3649  0.8543
O  0.0010  0.7500  0.1303
O  0.0671  0.6096  0.3378
O  0.0671  0.8904  0.3378
O  0.0744  0.0744  0.8867
O  0.0744  0.4256  0.8867
O  0.1060  0.6060  0.0000
O  0.1060  0.8940  0.0000
O  0.1096  0.5671  0.6622
O  0.1096  0.9329  0.6622
O  0.1208  0.7500  0.5573
O  0.2500  0.5010  0.8697
O  0.2500  0.6208  0.4427
O  0.2500  0.8792  0.4427
O  0.2500  0.9990  0.8697
O  0.3792  0.7500  0.5573
O  0.3904  0.5671  0.6622
O  0.3904  0.9329  0.6622
O  0.3940  0.6060  0.0000
O  0.3940  0.8940  0.0000
O  0.4256  0.0744  0.8867
O  0.4256  0.4256  0.8867
O  0.4329  0.6096  0.3378
O  0.4329  0.8904  0.3378
O  0.4990  0.7500  0.1303
O  0.5010  0.2500  0.8697
O  0.5671  0.1096  0.6622
O  0.5671  0.3904  0.6622
O  0.5744  0.5744  0.1133
O  0.5744  0.9256  0.1133
O  0.6060  0.1060  0.0000
O  0.6060  0.3940  0.0000
O  0.6096  0.0671  0.3378
O  0.6096  0.4329  0.3378
O  0.6208  0.2500  0.4427
O  0.7500  0.0010  0.1303
O  0.7500  0.1208  0.5573
O  0.7500  0.3792  0.5573
O  0.7500  0.4990  0.1303
O  0.8792  0.2500  0.4427
O  0.8904  0.0671  0.3378
O  0.8904  0.4329  0.3378
O  0.8940  0.1060  0.0000
O  0.8940  0.3940  0.0000
O  0.9256  0.5744  0.1133
O  0.9256  0.9256  0.1133
O  0.9329  0.1096  0.6622
O  0.9329  0.3904  0.6622
O  0.9990  0.2500  0.8697

Computed properties:
The value obtained for the formation energy is -69.61 kcal/mol of atoms.